# BaNaHg2 | the Materials Project | PBE-GGA | relaxed
# **Volume**: 131 Å³/cell
# **Calculated total energy**: -5.46 eV per cell
data_BaNaHg2
_symmetry_space_group_name_H-M 'P 1'
_symmetry_Int_Tables_number 1
_cell_length_a 5.702
_cell_length_b 5.702
_cell_length_c 5.702
_cell_angle_alpha 60.00
_cell_angle_beta 60.00
_cell_angle_gamma 60.00
loop_
_symmetry_equiv_pos_as_xyz
'x,y,z'
loop_
_atom_site_label
_atom_site_fract_x
_atom_site_fract_y
_atom_site_fract_z
Ba1 0.500 0.500 0.500
Na1 0.000 0.000 0.000
Hg1 0.250 0.250 0.250
Hg2 0.750 0.750 0.750